{
  "formula": "Mg3Si4",
  "functional": "PBE",
  "state": "relaxed",
  "total_magnetization_mub_per_cell": 0.00,
  "dft_energy_ev_per_atom": -3.671,
  "lattice_angstrom": [[-4.2331, 0.0000, 0.0000], [2.0025, 7.9428, 0.0000], [-0.0765, -3.5191, -7.6343]],
  "species": ["Mg", "Mg", "Mg", "Mg", "Mg", "Mg", "Si", "Si", "Si", "Si", "Si", "Si", "Si", "Si"],
  "frac_coords": [[0.4199, 0.4133, 0.9197], [0.1920, 0.9679, 0.8378], [0.0047, 0.5841, 0.3777], [0.3496, 0.2558, 0.2327], [0.2249, 0.0146, 0.4751], [0.0781, 0.7382, 0.0683], [0.7901, 0.1589, 0.7288], [0.5769, 0.7434, 0.2759], [0.8672, 0.2986, 0.5225], [0.4534, 0.4820, 0.5801], [0.6181, 0.8088, 0.5940], [0.5812, 0.7445, 0.8674], [0.8529, 0.2565, 0.0365], [0.7442, 0.0333, 0.2301]]
}

{
  "formula": "Mg3Si4",
  "functional": "PBE",
  "state": "relaxed",
  "total_magnetization_mub_per_cell": 0.00,
  "dft_energy_ev_per_atom": -3.733,
  "lattice_angstrom": [[5.5811, 0.2847, 6.8431], [6.8703, 3.4098, 4.3853], [-2.9142, 5.4620, 5.4163]],
  "species": ["Mg", "Mg", "Mg", "Mg", "Mg", "Mg", "Si", "Si", "Si", "Si", "Si", "Si", "Si", "Si"],
  "frac_coords": [[0.2858, 0.2858, 0.6765], [0.6208, 0.6208, 0.8658], [0.4758, 0.4758, 0.6730], [0.9174, 0.9174, 0.4086], [0.7210, 0.7210, 0.4431], [0.9727, 0.9727, 0.9467], [0.1127, 0.1127, 0.3718], [0.5470, 0.5470, 0.3402], [0.8693, 0.8693, 0.7611], [0.3341, 0.3341, 0.3152], [0.1244, 0.1244, 0.6559], [0.2434, 0.2434, 0.1524], [0.7440, 0.7440, 0.9940], [0.4748, 0.4748, 0.1422]]
}

{
  "formula": "Mg4Si3",
  "functional": "PBE",
  "state": "relaxed",
  "total_magnetization_mub_per_cell": 0.00,
  "dft_energy_ev_per_atom": -3.160,
  "lattice_angstrom": [[-0.2749, 4.7518, -4.0458], [4.2052, -4.4542, -2.8712], [-10.6321, -5.6675, -5.4160]],
  "species": ["Mg", "Mg", "Mg", "Mg", "Mg", "Mg", "Mg", "Mg", "Mg", "Mg", "Mg", "Mg", "Mg", "Mg", "Mg", "Mg", "Si", "Si", "Si", "Si", "Si", "Si", "Si", "Si", "Si", "Si", "Si", "Si"],
  "frac_coords": [[0.7910, 0.9822, 0.0049], [0.7154, 0.5516, 0.8783], [0.9780, 0.7285, 0.4347], [0.1844, 0.5726, 0.2524], [0.0866, 0.9431, 0.8217], [0.1191, 0.3700, 0.9201], [0.5265, 0.8046, 0.4049], [0.3203, 0.1692, 0.3743], [0.2705, 0.8488, 0.6229], [0.4091, 0.3044, 0.7041], [0.8961, 0.8760, 0.2242], [0.8459, 0.2364, 0.3700], [0.9548, 0.4396, 0.6867], [0.7211, 0.7984, 0.6692], [0.5014, 0.5322, 0.0830], [0.4477, 0.0078, 0.1698], [0.6301, 0.1170, 0.5497], [0.2253, 0.4668, 0.5091], [0.4486, 0.1708, 0.9344], [0.0003, 0.6850, 0.0517], [0.3603, 0.6648, 0.7925], [0.7367, 0.1465, 0.8170], [0.6606, 0.5037, 0.2785], [0.1374, 0.2139, 0.1389], [0.6192, 0.4778, 0.5239], [0.0199, 0.1004, 0.5562], [0.3476, 0.7928, 0.9656], [0.8272, 0.3521, 0.1253]]
}

{
  "formula": "Mg3Si4",
  "functional": "PBE",
  "state": "relaxed",
  "total_magnetization_mub_per_cell": 0.02,
  "dft_energy_ev_per_atom": -3.670,
  "lattice_angstrom": [[-7.2338, -2.6386, 1.8476], [-6.0312, -4.8297, -1.7328], [-2.5298, -8.5942, 4.4097]],
  "species": ["Mg", "Mg", "Mg", "Mg", "Mg", "Mg", "Si", "Si", "Si", "Si", "Si", "Si", "Si", "Si"],
  "frac_coords": [[0.2700, 0.2700, 0.4434], [0.5983, 0.5983, 0.4843], [0.3691, 0.3691, 0.8905], [0.1546, 0.1546, 0.9109], [0.9949, 0.9949, 0.3386], [0.8749, 0.8749, 0.1404], [0.8558, 0.8558, 0.7484], [0.5617, 0.5617, 0.8547], [0.2089, 0.2089, 0.2340], [0.6956, 0.6956, 0.0831], [0.0278, 0.0278, 0.7553], [0.3717, 0.3717, 0.6040], [0.7656, 0.7656, 0.6183], [0.5110, 0.5110, 0.1408]]
}

{
  "formula": "Mg2Si3",
  "functional": "PBE",
  "state": "relaxed",
  "total_magnetization_mub_per_cell": 0.01,
  "dft_energy_ev_per_atom": -3.740,
  "lattice_angstrom": [[0.2796, 6.2681, 1.9286], [2.8931, 1.7013, 4.5265], [13.6472, -0.9276, -1.8708]],
  "species": ["Mg", "Mg", "Mg", "Mg", "Mg", "Mg", "Mg", "Mg", "Si", "Si", "Si", "Si", "Si", "Si", "Si", "Si", "Si", "Si", "Si", "Si"],
  "frac_coords": [[0.9371, 0.1673, 0.2314], [0.1084, 0.1925, 0.7738], [0.9826, 0.0303, 0.0005], [0.8941, 0.6031, 0.9884], [0.5935, 0.7968, 0.7381], [0.3730, 0.3223, 0.2265], [0.6349, 0.5373, 0.5539], [0.4415, 0.2324, 0.4808], [0.5127, 0.5192, 0.0206], [0.3526, 0.0857, 0.9786], [0.7132, 0.9069, 0.1316], [0.3757, 0.5124, 0.8551], [0.9828, 0.8264, 0.7021], [0.9879, 0.5458, 0.3252], [0.1405, 0.0452, 0.5651], [0.8788, 0.7954, 0.4442], [0.2550, 0.5098, 0.6139], [0.7559, 0.3400, 0.3890], [0.3832, 0.8529, 0.1875], [0.6967, 0.1780, 0.7937]]
}

{
  "formula": "Mg4Si7",
  "functional": "PBE",
  "state": "relaxed",
  "total_magnetization_mub_per_cell": 0.00,
  "dft_energy_ev_per_atom": -3.911,
  "lattice_angstrom": [[-0.0711, 2.8642, -2.7866], [-5.6396, -4.1429, -4.6948], [-10.0141, 5.8580, 4.5607]],
  "species": ["Mg", "Mg", "Mg", "Mg", "Mg", "Mg", "Mg", "Mg", "Si", "Si", "Si", "Si", "Si", "Si", "Si", "Si", "Si", "Si", "Si", "Si", "Si", "Si"],
  "frac_coords": [[0.1701, 0.9438, 0.0286], [0.2620, 0.2961, 0.4684], [0.7135, 0.1948, 0.6804], [0.7686, 0.6108, 0.3469], [0.3315, 0.4754, 0.1860], [0.1886, 0.6702, 0.7880], [0.7056, 0.5890, 0.5883], [0.7143, 0.9930, 0.3920], [0.7188, 0.2205, 0.1080], [0.5487, 0.6524, 0.9756], [0.7209, 0.8957, 0.8629], [0.0481, 0.4813, 0.9927], [0.2215, 0.7521, 0.4516], [0.2074, 0.9669, 0.5707], [0.1549, 0.3012, 0.8558], [0.7161, 0.7499, 0.1444], [0.2013, 0.1275, 0.2124], [0.6515, 0.1571, 0.9218], [0.2007, 0.4067, 0.6711], [0.8252, 0.3036, 0.3155], [0.2431, 0.8427, 0.2587], [0.6913, 0.8729, 0.6765]]
}

{
  "formula": "Mg3Si4",
  "functional": "PBE",
  "state": "relaxed",
  "total_magnetization_mub_per_cell": 0.01,
  "dft_energy_ev_per_atom": -3.667,
  "lattice_angstrom": [[6.9301, 0.5668, -1.5856], [-3.7949, 11.5683, -5.4244], [-0.5550, -0.4884, 6.6088]],
  "species": ["Mg", "Mg", "Mg", "Mg", "Mg", "Mg", "Mg", "Mg", "Mg", "Mg", "Mg", "Mg", "Si", "Si", "Si", "Si", "Si", "Si", "Si", "Si", "Si", "Si", "Si", "Si", "Si", "Si", "Si", "Si"],
  "frac_coords": [[0.8339, 0.5602, 0.8808], [0.5404, 0.6190, 0.2218], [0.0192, 0.0624, 0.1984], [0.2316, 0.9055, 0.8663], [0.4194, 0.2228, 0.9283], [0.8258, 0.1558, 0.8434], [0.4571, 0.6515, 0.6980], [0.9578, 0.6165, 0.5265], [0.1475, 0.4451, 0.1282], [0.9022, 0.3426, 0.3638], [0.3295, 0.9615, 0.4560], [0.6587, 0.9072, 0.2103], [0.0506, 0.0526, 0.6017], [0.5566, 0.8713, 0.7284], [0.1853, 0.5306, 0.8113], [0.5439, 0.4472, 0.3875], [0.7378, 0.2872, 0.6352], [0.4476, 0.1210, 0.3272], [0.2386, 0.7260, 0.3933], [0.8971, 0.7640, 0.3202], [0.0625, 0.2462, 0.6609], [0.4203, 0.4257, 0.6991], [0.8605, 0.9171, 0.6687], [0.6196, 0.0751, 0.0452], [0.7007, 0.4076, 0.0120], [0.2569, 0.2707, 0.2788], [0.2744, 0.7484, 0.0510], [0.9182, 0.7929, 0.9748]]
}

{
  "formula": "Mg2Si3",
  "functional": "PBE",
  "state": "relaxed",
  "total_magnetization_mub_per_cell": 0.00,
  "dft_energy_ev_per_atom": -3.769,
  "lattice_angstrom": [[-1.8896, -2.9539, -0.8765], [3.8887, -3.6497, -2.8151], [5.3788, -9.4953, 14.1223]],
  "species": ["Mg", "Mg", "Mg", "Mg", "Mg", "Mg", "Mg", "Mg", "Si", "Si", "Si", "Si", "Si", "Si", "Si", "Si", "Si", "Si", "Si", "Si"],
  "frac_coords": [[0.8445, 0.1284, 0.2072], [0.6621, 0.8599, 0.7621], [0.0193, 0.9021, 0.0597], [0.4246, 0.2249, 0.9448], [0.4118, 0.3994, 0.7411], [0.1090, 0.4776, 0.2924], [0.5429, 0.3572, 0.5624], [0.9465, 0.6943, 0.4407], [0.8053, 0.3738, 0.0547], [0.6518, 0.7062, 0.9575], [0.2229, 0.4712, 0.1395], [0.1933, 0.6893, 0.8706], [0.1298, 0.0560, 0.6559], [0.3991, 0.8602, 0.3167], [0.3288, 0.8677, 0.5407], [0.1525, 0.2207, 0.4476], [0.8634, 0.7082, 0.6256], [0.7390, 0.1333, 0.3596], [0.5451, 0.7537, 0.1864], [0.0082, 0.1162, 0.8349]]
}